# 1
A relaxed structure of LuFe6Ge6, computed with PBE.

## Properties
* VASP energy: -6.67 eV/atom
* space-group type: P6/mmm, No. 191
* ρ: 8580 kg/m3
* calculated formation energy: -277 meV/atom

Cell lengths 5.0979, 5.0979, 8.1338 Å; angles 90.00, 90.00, 120.00 degrees
Closest atoms and distances in Å follow each position.
Fractional coordinates of all 13 atoms:
Lu  0.0000  0.0000  0.0000  8 Ge 2.81-2.94
Fe  0.0000  0.5000  0.2494  6 Ge 2.51-2.66, 4 Fe 2.55
Fe  0.0000  0.5000  0.7506  6 Ge 2.51-2.66, 4 Fe 2.55
Fe  0.5000  0.0000  0.2494  6 Ge 2.51-2.66, 4 Fe 2.55
Fe  0.5000  0.0000  0.7506  6 Ge 2.51-2.66, 4 Fe 2.55
Fe  0.5000  0.5000  0.2494  6 Ge 2.51-2.66, 4 Fe 2.55
Fe  0.5000  0.5000  0.7506  6 Ge 2.51-2.66, 4 Fe 2.55
Ge  0.0000  0.0000  0.3450  1 Ge 2.52, 6 Fe 2.66, 1 Lu 2.81
Ge  0.0000  0.0000  0.6550  1 Ge 2.52, 6 Fe 2.66, 1 Lu 2.81
Ge  0.3333  0.6667  0.0000  6 Fe 2.51
Ge  0.3333  0.6667  0.5000  6 Fe 2.51
Ge  0.6667  0.3333  0.0000  6 Fe 2.51
Ge  0.6667  0.3333  0.5000  6 Fe 2.51

# 2
A relaxed structure of K2GaAs2, computed with PBE.

## Properties
* VASP energy: -3.40 eV/atom
* space-group type: P2_1/c, No. 14
* ρ: 3002 kg/m3
* calculated formation energy: -491 meV/atom

Cell lengths 9.0526, 14.5734, 11.3319 Å; angles 90.00, 118.18, 90.00 degrees
Closest atoms and distances in Å follow each position.
Fractional coordinates of all 40 atoms:
K  0.0066  0.1282  0.4682  4 As 3.32-3.66, 4 Ga 3.48-3.71
K  0.0066  0.3718  0.9682  4 As 3.32-3.66, 4 Ga 3.48-3.71
K  0.1997  0.6151  0.5222  6 As 3.52-3.75, 3 Ga 3.58-3.78
K  0.1997  0.8849  0.0222  6 As 3.52-3.75, 3 Ga 3.58-3.78
K  0.4103  0.1290  0.0878  5 As 3.35-3.60
K  0.4103  0.3710  0.5878  5 As 3.35-3.60
K  0.4777  0.6219  0.9412  4 As 3.29-3.45
K  0.4777  0.8781  0.4412  4 As 3.29-3.45
K  0.5223  0.1219  0.5588  4 As 3.29-3.45
K  0.5223  0.3781  0.0588  4 As 3.29-3.45
K  0.5897  0.6290  0.4122  5 As 3.35-3.60
K  0.5897  0.8710  0.9122  5 As 3.35-3.60
K  0.8003  0.1151  0.9778  6 As 3.52-3.75, 3 Ga 3.58-3.78
K  0.8003  0.3849  0.4778  6 As 3.52-3.75, 3 Ga 3.58-3.78
K  0.9934  0.6282  0.0318  4 As 3.32-3.66, 4 Ga 3.48-3.71
K  0.9934  0.8718  0.5318  4 As 3.32-3.66, 4 Ga 3.48-3.71
Ga  0.0046  0.5575  0.7430  3 As 2.41-2.44
Ga  0.0046  0.9425  0.2430  3 As 2.41-2.44
Ga  0.1542  0.2173  0.2549  3 As 2.42-2.45
Ga  0.1542  0.2827  0.7549  3 As 2.42-2.45
Ga  0.8458  0.7173  0.2451  3 As 2.42-2.45
Ga  0.8458  0.7827  0.7451  3 As 2.42-2.45
Ga  0.9954  0.0575  0.7570  3 As 2.41-2.44
Ga  0.9954  0.4425  0.2570  3 As 2.41-2.44
As  0.1039  0.7154  0.7724  2 Ga 2.42-2.44
As  0.1039  0.7846  0.2724  2 Ga 2.42-2.44
As  0.2156  0.0531  0.2576  2 Ga 2.44-2.45
As  0.2156  0.4469  0.7576  2 Ga 2.44-2.45
As  0.2671  0.0264  0.7757  1 Ga 2.41, 1 As 2.49
As  0.2671  0.4736  0.2757  1 Ga 2.41, 1 As 2.49
As  0.3809  0.1829  0.7818  1 Ga 2.42, 1 As 2.49
As  0.3809  0.3171  0.2818  1 Ga 2.42, 1 As 2.49
As  0.6191  0.6829  0.7182  1 Ga 2.42, 1 As 2.49
As  0.6191  0.8171  0.2182  1 Ga 2.42, 1 As 2.49
As  0.7329  0.5264  0.7243  1 Ga 2.41, 1 As 2.49
As  0.7329  0.9736  0.2243  1 Ga 2.41, 1 As 2.49
As  0.7844  0.5531  0.2424  2 Ga 2.44-2.45
As  0.7844  0.9469  0.7424  2 Ga 2.44-2.45
As  0.8961  0.2154  0.7276  2 Ga 2.42-2.44
As  0.8961  0.2846  0.2276  2 Ga 2.42-2.44

# 3
A relaxed structure of YP5O14, computed with PBE.

## Properties
* VASP energy: -7.49 eV/atom
* space-group type: C2/c, No. 15
* ΔE to the lowest computed polymorph: 0 meV/atom
* ρ: 2916 kg/m3
* corrected total energy (MP2020 scheme): -637.4 eV/cell
* calculated formation energy: -2827 meV/atom

Cell lengths 9.1898, 9.1898, 12.6228 Å; angles 91.08, 91.08, 89.53 degrees
Closest atoms and distances in Å follow each position.
Fractional coordinates of all 80 atoms:
Y  0.0212  0.9788  0.7500  8 O 2.34-2.38
Y  0.4679  0.5321  0.7500  8 O 2.30-2.43
Y  0.5321  0.4679  0.2500  8 O 2.30-2.43
Y  0.9788  0.0212  0.2500  8 O 2.34-2.38
P  0.0198  0.6837  0.3953  4 O 1.47-1.58
P  0.0707  0.5726  0.7414  4 O 1.48-1.64
P  0.1134  0.1787  0.0003  3 O 1.48-1.63
P  0.1787  0.1134  0.5003  3 O 1.48-1.63
P  0.1816  0.4545  0.1096  4 O 1.48-1.59
P  0.3163  0.9802  0.1047  4 O 1.47-1.58
P  0.3250  0.6270  0.4665  3 O 1.48-1.63
P  0.3730  0.6750  0.0335  3 O 1.48-1.63
P  0.4274  0.9293  0.7586  4 O 1.48-1.64
P  0.4545  0.1816  0.6096  4 O 1.48-1.59
P  0.5455  0.8184  0.3904  4 O 1.48-1.59
P  0.5726  0.0707  0.2414  4 O 1.48-1.64
P  0.6270  0.3250  0.9665  3 O 1.48-1.63
P  0.6750  0.3730  0.5335  3 O 1.48-1.63
P  0.6837  0.0198  0.8953  4 O 1.47-1.58
P  0.8184  0.5455  0.8904  4 O 1.48-1.59
P  0.8213  0.8866  0.4997  3 O 1.48-1.63
P  0.8866  0.8213  0.9997  3 O 1.48-1.63
P  0.9293  0.4274  0.2586  4 O 1.48-1.64
P  0.9802  0.3163  0.6047  4 O 1.47-1.58
O  0.0060  0.4804  0.6384  2 P 1.58-1.64
O  0.0121  0.1410  0.0865  1 P 1.49
O  0.0313  0.4859  0.1637  2 P 1.58-1.64
O  0.0382  0.7833  0.3065  1 P 1.47
O  0.0395  0.7274  0.7179  1 P 1.48
O  0.0789  0.1502  0.8870  1 P 1.48
O  0.1103  0.2770  0.5287  2 P 1.58-1.66
O  0.1410  0.0121  0.5865  1 P 1.49
O  0.1488  0.3524  0.0094  2 P 1.59-1.63
O  0.1502  0.0789  0.3870  1 P 1.48
O  0.1542  0.6750  0.4754  2 P 1.58-1.63
O  0.2106  0.6054  0.0557  2 P 1.58-1.66
O  0.2167  0.9618  0.1935  1 P 1.47
O  0.2197  0.5204  0.7690  1 P 1.48
O  0.2726  0.9605  0.7821  1 P 1.48
O  0.2770  0.1103  0.0287  2 P 1.58-1.66
O  0.2987  0.3977  0.1793  1 P 1.48
O  0.3250  0.8458  0.0246  2 P 1.58-1.63
O  0.3453  0.5357  0.3686  1 P 1.49
O  0.3524  0.1488  0.5094  2 P 1.59-1.63
O  0.3713  0.5791  0.5733  1 P 1.48
O  0.3946  0.7894  0.4443  2 P 1.58-1.66
O  0.3977  0.2987  0.6793  1 P 1.48
O  0.4209  0.6287  0.9267  1 P 1.48
O  0.4643  0.6547  0.1314  1 P 1.49
O  0.4804  0.0060  0.1384  2 P 1.58-1.64
O  0.4796  0.7803  0.7310  1 P 1.48
O  0.4859  0.0313  0.6637  2 P 1.58-1.64
O  0.5141  0.9687  0.3363  2 P 1.58-1.64
O  0.5204  0.2197  0.2690  1 P 1.48
O  0.5196  0.9940  0.8616  2 P 1.58-1.64
O  0.5357  0.3453  0.8686  1 P 1.49
O  0.5791  0.3713  0.0733  1 P 1.48
O  0.6023  0.7013  0.3207  1 P 1.48
O  0.6054  0.2106  0.5557  2 P 1.58-1.66
O  0.6287  0.4209  0.4267  1 P 1.48
O  0.6476  0.8512  0.4906  2 P 1.59-1.63
O  0.6547  0.4643  0.6314  1 P 1.49
O  0.6750  0.1542  0.9754  2 P 1.58-1.63
O  0.7013  0.6023  0.8207  1 P 1.48
O  0.7230  0.8897  0.9713  2 P 1.58-1.66
O  0.7274  0.0395  0.2179  1 P 1.48
O  0.7803  0.4796  0.2310  1 P 1.48
O  0.7833  0.0382  0.8065  1 P 1.47
O  0.7894  0.3946  0.9443  2 P 1.58-1.66
O  0.8458  0.3250  0.5246  2 P 1.58-1.63
O  0.8498  0.9211  0.6130  1 P 1.48
O  0.8512  0.6476  0.9906  2 P 1.59-1.63
O  0.8590  0.9879  0.4135  1 P 1.49
O  0.8897  0.7230  0.4713  2 P 1.58-1.66
O  0.9211  0.8498  0.1130  1 P 1.48
O  0.9605  0.2726  0.2821  1 P 1.48
O  0.9618  0.2167  0.6935  1 P 1.47
O  0.9687  0.5141  0.8363  2 P 1.58-1.64
O  0.9879  0.8590  0.9135  1 P 1.49
O  0.9940  0.5196  0.3616  2 P 1.58-1.64

# 4
A relaxed structure of LiZnIO4, computed with PBE.

## Properties
* VASP energy: -4.51 eV/atom
* space-group type: Ama2, No. 40
* ρ: 4289 kg/m3
* corrected total energy (MP2020 scheme): -68.6 eV/cell
* calculated formation energy: -1406 meV/atom

Cell lengths 5.8863, 6.3400, 6.3400 Å; angles 120.52, 90.00, 90.00 degrees
Closest atoms and distances in Å follow each position.
Fractional coordinates of all 14 atoms:
Li  0.2500  0.0645  0.9355  4 O 2.06-2.17
Li  0.7500  0.9355  0.0645  4 O 2.06-2.17
Zn  0.0000  0.4989  0.4989  4 O 1.99-2.05
Zn  0.5000  0.4989  0.4989  4 O 1.99-2.05
I  0.2500  0.5913  0.0282  3 O 1.83-2.02
I  0.7500  0.0282  0.5913  3 O 1.83-2.02
O  0.0138  0.8042  0.1793  1 I 1.83
O  0.2500  0.4258  0.2613  2 Zn 1.99, 1 Li 2.17, 1 I 2.20
O  0.2500  0.6699  0.7571  1 I 2.02, 2 Zn 2.05, 1 Li 2.16
O  0.4862  0.8042  0.1793  1 I 1.83
O  0.5138  0.1793  0.8042  1 I 1.83
O  0.7500  0.2613  0.4258  2 Zn 1.99, 1 Li 2.17, 1 I 2.20
O  0.7500  0.7571  0.6699  1 I 2.02, 2 Zn 2.05, 1 Li 2.16
O  0.9862  0.1793  0.8042  1 I 1.83